--- one ---
Material: Re2O7
Method: DFT, PBE-GGA
State: optimized geometry

Calculated values
M_tot = 0.0 Bohr magnetons per cell
space group = No. 63

Lattice parameters (Å, degrees): 9.550 9.550 5.406 90.00 90.00 31.85
Element x y z (fractional)
Re1 0.140 0.650 0.750
Re2 0.350 0.860 0.750
Re3 0.650 0.140 0.250
Re4 0.860 0.350 0.250
O1 0.043 0.350 0.250
O2 0.082 0.082 0.000
O3 0.082 0.082 0.500
O4 0.317 0.683 0.750
O5 0.350 0.043 0.750
O6 0.383 0.383 0.000
O7 0.383 0.383 0.500
O8 0.617 0.617 0.000
O9 0.617 0.617 0.500
O10 0.650 0.957 0.250
O11 0.683 0.317 0.250
O12 0.918 0.918 0.000
O13 0.918 0.918 0.500
O14 0.957 0.650 0.750


--- two ---
Material: Re2O7
Method: DFT, PBE-GGA
State: optimized geometry

Calculated values
maximum piezoelectric response = 0.23 C/m2
M_tot = 0.0 Bohr magnetons per cell
space group = No. 36

Lattice parameters (Å, degrees): 9.187 9.187 6.951 90.00 90.00 45.56
Element x y z (fractional)
Re1 0.123 0.677 0.500
Re2 0.323 0.877 0.500
Re3 0.677 0.123 0.000
Re4 0.877 0.323 0.000
O1 0.077 0.560 0.643
O2 0.084 0.107 0.436
O3 0.107 0.084 0.936
O4 0.238 0.538 0.291
O5 0.288 0.712 0.610
O6 0.440 0.923 0.643
O7 0.462 0.762 0.291
O8 0.538 0.238 0.791
O9 0.560 0.077 0.143
O10 0.712 0.288 0.110
O11 0.762 0.462 0.791
O12 0.893 0.916 0.436
O13 0.916 0.893 0.936
O14 0.923 0.440 0.143


Result of the stability comparison: two is the most stable of them.


--- one ---
Material: Re2O7
Method: DFT, PBE-GGA
State: optimized geometry

Calculated values
M_tot = 0.0 Bohr magnetons per cell
space group = No. 19

Lattice parameters (Å, degrees): 5.558 12.741 15.566 90.00 90.00 90.00
Element x y z (fractional)
Re1 0.063 0.232 0.136
Re2 0.067 0.476 0.870
Re3 0.172 0.026 0.856
Re4 0.186 0.780 0.137
Re5 0.314 0.220 0.637
Re6 0.328 0.974 0.356
Re7 0.433 0.524 0.370
Re8 0.437 0.768 0.636
Re9 0.563 0.268 0.864
Re10 0.567 0.024 0.130
Re11 0.672 0.474 0.144
Re12 0.686 0.720 0.863
Re13 0.814 0.280 0.363
Re14 0.828 0.526 0.644
Re15 0.933 0.976 0.630
Re16 0.937 0.732 0.364
O1 0.002 0.256 0.272
O2 0.012 0.446 0.976
O3 0.016 0.213 0.028
O4 0.017 0.503 0.735
O5 0.034 0.987 0.950
O6 0.046 0.738 0.044
O7 0.054 0.291 0.649
O8 0.073 0.049 0.344
O9 0.223 0.084 0.630
O10 0.232 0.840 0.361
O11 0.236 0.420 0.378
O12 0.236 0.628 0.339
O13 0.238 0.874 0.661
O14 0.245 0.662 0.637
O15 0.255 0.338 0.137
O16 0.262 0.126 0.161
O17 0.264 0.372 0.839
O18 0.264 0.580 0.878
O19 0.268 0.160 0.861
O20 0.277 0.916 0.130
O21 0.427 0.951 0.844
O22 0.446 0.709 0.149
O23 0.454 0.262 0.544
O24 0.466 0.013 0.450
O25 0.483 0.497 0.235
O26 0.484 0.787 0.528
O27 0.488 0.554 0.476
O28 0.498 0.744 0.772
O29 0.502 0.244 0.728
O30 0.512 0.054 0.024
O31 0.516 0.287 0.972
O32 0.517 0.997 0.265
O33 0.534 0.513 0.050
O34 0.546 0.762 0.956
O35 0.554 0.209 0.351
O36 0.573 0.451 0.656
O37 0.723 0.416 0.370
O38 0.732 0.660 0.639
O39 0.736 0.080 0.622
O40 0.736 0.872 0.661
O41 0.738 0.626 0.339
O42 0.745 0.838 0.363
O43 0.755 0.162 0.863
O44 0.762 0.374 0.839
O45 0.764 0.128 0.161
O46 0.764 0.920 0.122
O47 0.768 0.340 0.139
O48 0.777 0.584 0.870
O49 0.927 0.549 0.156
O50 0.946 0.791 0.851
O51 0.954 0.238 0.456
O52 0.966 0.487 0.550
O53 0.983 0.003 0.765
O54 0.984 0.713 0.472
O55 0.988 0.946 0.524
O56 0.998 0.756 0.228


--- two ---
Material: Re2O7
Method: DFT, PBE-GGA
State: optimized geometry

Calculated values
M_tot = 0.1 Bohr magnetons per cell
space group = No. 109

Lattice parameters (Å, degrees): 7.293 7.293 7.293 120.80 120.80 88.62
Element x y z (fractional)
Re1 0.242 0.000 0.242
Re2 0.750 0.008 0.258
Re3 0.750 0.492 0.742
Re4 0.758 0.000 0.758
O1 0.070 0.077 0.368
O2 0.070 0.703 0.993
O3 0.083 0.083 0.000
O4 0.133 0.633 0.500
O5 0.383 0.383 0.000
O6 0.453 0.320 0.493
O7 0.453 0.959 0.132
O8 0.460 0.960 0.500
O9 0.709 0.077 0.007
O10 0.709 0.703 0.632
O11 0.710 0.710 0.000
O12 0.827 0.320 0.868
O13 0.827 0.959 0.507
O14 0.833 0.333 0.500


Result of the stability comparison: one is the most stable of them.


--- one ---
Material: Re2S2O13
Method: DFT, PBE-GGA
State: optimized geometry

Calculated values
maximum piezoelectric response = 0.50 C/m2
space group = No. 32

Lattice parameters (Å, degrees): 8.460 9.790 6.059 90.00 90.00 90.00
Element x y z (fractional)
Re1 0.186 0.099 0.000
Re2 0.314 0.599 0.000
Re3 0.686 0.401 0.000
Re4 0.814 0.901 0.000
S1 0.127 0.816 0.326
S2 0.373 0.316 0.326
S3 0.627 0.684 0.326
S4 0.873 0.184 0.326
O1 0.000 0.000 0.926
O2 0.044 0.151 0.295
O3 0.124 0.249 0.885
O4 0.150 0.679 0.191
O5 0.166 0.795 0.552
O6 0.187 0.534 0.808
O7 0.228 0.919 0.209
O8 0.272 0.419 0.209
O9 0.313 0.034 0.808
O10 0.334 0.295 0.552
O11 0.350 0.179 0.191
O12 0.376 0.749 0.885
O13 0.456 0.651 0.295
O14 0.500 0.500 0.926
O15 0.544 0.349 0.295
O16 0.624 0.251 0.885
O17 0.650 0.821 0.191
O18 0.666 0.705 0.552
O19 0.687 0.966 0.808
O20 0.728 0.581 0.209
O21 0.772 0.081 0.209
O22 0.813 0.466 0.808
O23 0.834 0.205 0.552
O24 0.850 0.321 0.191
O25 0.876 0.751 0.885
O26 0.956 0.849 0.295


--- two ---
Material: Re2S2O13
Method: DFT, PBE-GGA
State: optimized geometry

Calculated values
M_tot = 0.0 Bohr magnetons per cell
space group = No. 57

Lattice parameters (Å, degrees): 7.441 7.381 17.197 90.00 90.00 90.00
Element x y z (fractional)
Re1 0.238 0.153 0.101
Re2 0.238 0.153 0.399
Re3 0.238 0.347 0.601
Re4 0.238 0.347 0.899
Re5 0.762 0.653 0.101
Re6 0.762 0.653 0.399
Re7 0.762 0.847 0.601
Re8 0.762 0.847 0.899
S1 0.265 0.623 0.750
S2 0.265 0.877 0.250
S3 0.365 0.750 0.000
S4 0.365 0.750 0.500
S5 0.635 0.250 0.000
S6 0.635 0.250 0.500
S7 0.735 0.123 0.750
S8 0.735 0.377 0.250
O1 0.018 0.108 0.122
O2 0.018 0.108 0.378
O3 0.018 0.392 0.622
O4 0.018 0.392 0.878
O5 0.072 0.619 0.750
O6 0.072 0.881 0.250
O7 0.198 0.250 0.000
O8 0.198 0.250 0.500
O9 0.245 0.612 0.535
O10 0.245 0.612 0.965
O11 0.245 0.888 0.035
O12 0.245 0.888 0.465
O13 0.273 0.149 0.649
O14 0.273 0.149 0.851
O15 0.273 0.351 0.149
O16 0.273 0.351 0.351
O17 0.339 0.505 0.680
O18 0.339 0.505 0.820
O19 0.339 0.995 0.180
O20 0.339 0.995 0.320
O21 0.364 0.712 0.250
O22 0.364 0.788 0.750
O23 0.480 0.661 0.060
O24 0.480 0.661 0.440
O25 0.480 0.839 0.560
O26 0.480 0.839 0.940
O27 0.520 0.161 0.060
O28 0.520 0.161 0.440
O29 0.520 0.339 0.560
O30 0.520 0.339 0.940
O31 0.636 0.212 0.250
O32 0.636 0.288 0.750
O33 0.661 0.005 0.680
O34 0.661 0.005 0.820
O35 0.661 0.495 0.180
O36 0.661 0.495 0.320
O37 0.727 0.649 0.649
O38 0.727 0.649 0.851
O39 0.727 0.851 0.149
O40 0.727 0.851 0.351
O41 0.755 0.112 0.535
O42 0.755 0.112 0.965
O43 0.755 0.388 0.035
O44 0.755 0.388 0.465
O45 0.802 0.750 0.000
O46 0.802 0.750 0.500
O47 0.928 0.119 0.750
O48 0.928 0.381 0.250
O49 0.982 0.608 0.122
O50 0.982 0.608 0.378
O51 0.982 0.892 0.622
O52 0.982 0.892 0.878


Result of the stability comparison: one is the most stable of them.


--- one ---
Material: Sr2RhO4
Method: DFT, PBE-GGA
State: optimized geometry

Calculated values
M_tot = 7.9 Bohr magnetons per cell
space group = No. 1

Lattice parameters (Å, degrees): 5.549 5.551 26.047 89.85 89.81 89.98
Element x y z (fractional)
Sr1 0.000 0.000 0.000
Sr2 0.000 0.003 0.852
Sr3 0.000 0.501 0.749
Sr4 0.001 0.013 0.352
Sr5 0.010 0.514 0.250
Sr6 0.488 0.001 0.602
Sr7 0.492 0.499 0.852
Sr8 0.495 0.508 0.500
Sr9 0.497 0.005 0.103
Sr10 0.504 0.509 0.000
Sr11 0.505 0.007 0.749
Sr12 0.506 0.006 0.250
Sr13 0.512 0.510 0.352
Sr14 0.989 0.007 0.499
Sr15 0.993 0.496 0.103
Sr16 0.996 0.507 0.602
Rh1 0.000 0.502 0.926
Rh2 0.001 0.004 0.177
Rh3 0.002 0.507 0.426
Rh4 0.498 0.007 0.426
Rh5 0.498 0.504 0.676
Rh6 0.500 0.003 0.926
Rh7 0.501 0.504 0.177
Rh8 0.997 0.003 0.675
O1 0.003 0.511 0.506
O2 0.003 0.998 0.595
O3 0.004 0.994 0.256
O4 0.009 0.497 0.846
O5 0.194 0.203 0.427
O6 0.195 0.306 0.675
O7 0.198 0.806 0.926
O8 0.199 0.702 0.173
O9 0.299 0.806 0.678
O10 0.303 0.305 0.929
O11 0.304 0.202 0.178
O12 0.304 0.703 0.424
O13 0.492 0.010 0.846
O14 0.493 0.513 0.596
O15 0.494 0.518 0.256
O16 0.500 0.006 0.506
O17 0.501 0.017 0.346
O18 0.504 0.495 0.756
O19 0.504 0.992 0.006
O20 0.508 0.490 0.097
O21 0.695 0.202 0.673
O22 0.697 0.310 0.428
O23 0.698 0.700 0.923
O24 0.699 0.807 0.175
O25 0.800 0.701 0.676
O26 0.802 0.810 0.424
O27 0.803 0.307 0.180
O28 0.804 0.200 0.926
O29 0.991 0.010 0.756
O30 0.993 0.502 0.346
O31 0.994 0.513 0.006
O32 0.999 0.016 0.096


--- two ---
Material: Sr2RhO4
Method: DFT, PBE-GGA
State: optimized geometry

Calculated values
M_tot = 2.1 Bohr magnetons per cell
space group = No. 139

Lattice parameters (Å, degrees): 3.951 3.951 12.743 90.00 90.00 90.00
Element x y z (fractional)
Sr1 0.000 0.000 0.146
Sr2 0.000 0.000 0.854
Sr3 0.500 0.500 0.354
Sr4 0.500 0.500 0.646
Rh1 0.000 0.000 0.500
Rh2 0.500 0.500 0.000
O1 0.000 0.000 0.337
O2 0.000 0.000 0.663
O3 0.000 0.500 0.000
O4 0.000 0.500 0.500
O5 0.500 0.000 0.000
O6 0.500 0.000 0.500
O7 0.500 0.500 0.163
O8 0.500 0.500 0.837


Result of the stability comparison: one is the most stable of them.